Record 1
VASP calculation (r2SCAN) on a geometry-optimized NaO2 structure.

Lattice parameters (Å, degrees): 5.3745 5.3936 5.4150 94.80 90.29 90.21
Fractional positions:
Na  0.0000  0.0000  0.0000
Na  0.0000  0.5000  0.5000
Na  0.5000  0.0000  0.5000
Na  0.5000  0.5000  0.0000
O  0.0627  0.4246  0.9171
O  0.0761  0.9304  0.5647
O  0.4245  0.9294  0.0640
O  0.4364  0.4242  0.4170
O  0.5636  0.5758  0.5830
O  0.5755  0.0706  0.9360
O  0.9239  0.0696  0.4353
O  0.9373  0.5754  0.0829

Symmetry: No. 2
Crystal system: triclinic
Polymorph energy (0 for the lowest one) (meV per atom): 0
Total magnetic moment (μB/cell): 4.00
Final energy (eV per formula unit): -18.1

=====

Record 2
VASP calculation (r2SCAN) on a geometry-optimized NaO2 structure.

Lattice parameters (Å, degrees): 4.1828 5.5701 3.3693 90.00 90.00 90.00
Fractional positions:
Na  0.0000  0.0000  0.0000
Na  0.5000  0.5000  0.5000
O  0.1116  0.4131  0.0000
O  0.3884  0.9131  0.5000
O  0.6116  0.0869  0.5000
O  0.8884  0.5869  0.0000

Symmetry: No. 58
Crystal system: orthorhombic
Polymorph energy (0 for the lowest one) (meV per atom): 1
Total magnetic moment (μB/cell): 2.00
Final energy (eV per formula unit): -18.1